No. 1
Entry from the Materials Project database: crystalline Na7In2Ga2SiP5O24 at its relaxed geometry (PBE-GGA).

Cell: 9.0123 9.0096 22.1294 Å, 90.20 89.52 119.89°
Positions (direct):
O (0.5105, 0.8466, 0.0747)
O (0.8114, 0.9769, 0.4088)
O (0.9919, 0.8315, 0.0925)
O (0.1719, 0.0049, 0.5862)
O (0.9003, 0.3796, 0.6378)
O (0.5061, 0.8656, 0.3615)
O (0.9699, 0.7788, 0.8089)
O (0.3495, 0.4847, 0.3566)
O (0.8314, 0.0184, 0.0918)
O (0.3472, 0.8352, 0.5731)
O (0.5293, 0.6850, 0.9742)
O (0.3046, 0.4626, 0.4714)
O (0.1354, 0.4890, 0.8601)
O (0.7843, 0.8151, 0.1918)
O (0.1640, 0.1955, 0.4114)
O (0.8456, 0.3151, 0.2504)
O (0.8699, 0.5053, 0.4173)
O (0.1795, 0.1753, 0.0936)
O (0.6160, 0.1054, 0.1356)
O (0.3114, 0.8470, 0.9746)
O (0.8272, 0.8005, 0.3049)
O (0.1770, 0.9665, 0.1951)
O (0.3563, 0.8698, 0.8594)
O (0.8572, 0.3063, 0.5244)
O (0.4426, 0.1498, 0.5214)
O (0.4757, 0.3721, 0.1426)
O (0.5178, 0.6486, 0.8589)
O (0.1953, 0.2350, 0.6922)
O (0.8401, 0.5216, 0.7460)
O (0.0430, 0.8108, 0.6952)
O (0.9870, 0.1766, 0.5858)
O (0.1497, 0.4669, 0.9753)
O (0.9828, 0.1823, 0.3098)
O (0.7067, 0.1424, 0.0244)
O (0.7706, 0.9540, 0.6920)
O (0.1677, 0.9656, 0.9151)
O (0.4962, 0.6413, 0.5740)
O (0.2211, 0.1794, 0.8035)
O (0.4640, 0.1621, 0.2480)
O (0.0329, 0.8368, 0.4086)
O (0.4794, 0.0985, 0.6409)
O (0.5000, 0.1318, 0.9199)
O (0.6485, 0.1357, 0.4170)
O (0.8672, 0.3640, 0.9183)
O (0.4846, 0.3353, 0.7459)
O (0.1561, 0.7002, 0.4712)
O (0.4377, 0.2823, 0.0316)
O (0.0280, 0.2030, 0.1949)
O (0.8961, 0.5139, 0.1428)
O (0.6867, 0.5310, 0.2485)
O (0.2016, 0.0259, 0.3092)
O (0.1328, 0.6416, 0.3571)
O (0.5033, 0.8228, 0.7584)
O (0.5501, 0.8516, 0.4743)
O (0.7991, 0.8275, 0.9169)
O (0.3008, 0.8304, 0.2577)
O (0.8487, 0.5649, 0.0246)
O (0.1685, 0.4708, 0.2549)
O (0.1534, 0.4986, 0.5724)
O (0.0242, 0.1979, 0.9171)
O (0.3493, 0.4960, 0.0760)
O (0.6421, 0.5050, 0.9179)
O (0.1624, 0.6755, 0.7589)
O (0.3098, 0.4810, 0.7597)
O (0.4866, 0.3510, 0.4149)
O (0.1647, 0.6598, 0.0760)
O (0.7067, 0.5512, 0.5291)
O (0.5226, 0.6895, 0.2575)
O (0.6304, 0.5271, 0.6411)
O (0.8191, 0.8144, 0.5859)
O (0.8169, 0.0373, 0.8116)
O (0.6770, 0.1685, 0.7491)
Na (0.3340, 0.0365, 0.4175)
Na (0.3396, 0.6770, 0.1677)
Na (0.0343, 0.6998, 0.5812)
Na (0.6611, 0.9672, 0.5852)
Na (0.3020, 0.9686, 0.0836)
Na (0.9953, 0.3594, 0.7533)
Na (0.3681, 0.9989, 0.7494)
Na (0.9621, 0.6648, 0.9192)
Na (0.6716, 0.6973, 0.0825)
Na (0.9941, 0.9892, 0.4978)
Na (0.7047, 0.0362, 0.9145)
Na (0.3674, 0.3697, 0.2517)
Na (0.3025, 0.3281, 0.5800)
Na (0.6362, 0.6418, 0.7501)
Na (0.9991, 0.6299, 0.2491)
Na (0.0099, 0.0068, 0.0017)
Na (0.9664, 0.2972, 0.4144)
Na (0.6667, 0.3333, 0.3328)
Na (0.3387, 0.6744, 0.6664)
Na (0.0306, 0.3384, 0.0848)
Na (0.6564, 0.3289, 0.8338)
In (0.6700, 0.3286, 0.1839)
In (0.6629, 0.3371, 0.4797)
In (0.6636, 0.3258, 0.6799)
In (0.9989, 0.9997, 0.6530)
In (0.6634, 0.3371, 0.9842)
In (0.0046, 0.0064, 0.8526)
P (0.6668, 0.0296, 0.0819)
P (0.6277, 0.9517, 0.4147)
P (0.0471, 0.6716, 0.4135)
P (0.0031, 0.2883, 0.2525)
P (0.3008, 0.3062, 0.7510)
P (0.0039, 0.6983, 0.7525)
P (0.0495, 0.3810, 0.9175)
P (0.3341, 0.9545, 0.9172)
P (0.7063, 0.7145, 0.2514)
P (0.3293, 0.3779, 0.4136)
P (0.6167, 0.6630, 0.9171)
P (0.3622, 0.3322, 0.0857)
P (0.9727, 0.3400, 0.5797)
P (0.2868, 0.9957, 0.2526)
P (0.6622, 0.6321, 0.5821)
Ga (0.9963, 0.9933, 0.1525)
Ga (0.9913, 0.9928, 0.3500)
Ga (0.3386, 0.6694, 0.8177)
Ga (0.3283, 0.6648, 0.0167)
Ga (0.3380, 0.6730, 0.5134)
Ga (0.3421, 0.6741, 0.3163)
Si (0.3626, 0.0246, 0.5801)
Si (0.6938, 0.9957, 0.7531)
Si (0.9730, 0.6402, 0.0838)

Volume: 12.66 Å³ per atom
Formation energy: -104.3 eV/f.u.

---

No. 2
Entry from the Materials Project database: crystalline Na10In4Ga4Si5S7O48 at its relaxed geometry (PBE-GGA).

Cell: 17.8747 8.9910 22.6535 Å, 89.60 88.79 120.06°
Positions (direct):
Ga (0.3376, 0.3573, 0.1863)
Ga (0.6623, 0.6389, 0.0183)
Ga (0.6534, 0.6295, 0.3173)
Ga (0.8309, 0.3101, 0.6843)
Ga (0.5010, 0.0169, 0.1539)
Ga (0.6600, 0.7044, 0.5175)
Ga (0.3380, 0.3476, 0.4836)
Ga (0.1575, 0.6413, 0.3159)
Ga (0.3295, 0.3136, 0.6799)
Ga (0.4858, 0.9727, 0.3479)
Ga (0.8356, 0.3473, 0.4842)
Ga (0.9996, 0.9870, 0.6492)
S (0.4843, 0.6379, 0.0850)
S (0.3326, 0.6169, 0.5834)
S (0.6650, 0.9567, 0.9194)
S (0.3165, 0.6685, 0.9152)
S (0.9774, 0.3264, 0.5839)
S (0.4809, 0.3440, 0.5816)
S (0.1694, 0.3736, 0.4162)
S (0.1671, 0.9641, 0.9169)
S (0.8120, 0.6683, 0.9191)
S (0.4962, 0.6980, 0.7492)
S (0.6665, 0.3778, 0.4188)
S (0.6418, 0.9946, 0.2512)
S (0.8088, 0.9555, 0.4178)
S (0.1513, 0.2938, 0.7461)
S (0.8300, 0.6232, 0.5829)
S (0.3167, 0.9630, 0.4153)
S (0.1519, 0.0013, 0.2513)
S (0.9841, 0.6376, 0.0830)
S (0.8276, 0.0229, 0.0825)
S (0.3333, 0.0360, 0.0870)
S (0.6510, 0.2958, 0.7500)
Na (0.1744, 0.6598, 0.1670)
Na (0.8454, 0.3588, 0.3383)
Na (0.1617, 0.3013, 0.9255)
Na (0.0022, 0.0038, 0.0003)
Na (0.1704, 0.6728, 0.6693)
Na (0.6800, 0.3697, 0.2454)
Na (0.5168, 0.3303, 0.0857)
Na (0.4969, 0.3564, 0.7566)
Na (0.1787, 0.9900, 0.7430)
Na (0.6786, 0.7056, 0.6602)
Na (0.6748, 0.6610, 0.1655)
Na (0.4976, 0.6266, 0.2572)
Na (0.3303, 0.9707, 0.5896)
Na (0.9946, 0.3626, 0.7560)
Na (0.8458, 0.3232, 0.8312)
Na (0.6638, 0.3000, 0.9254)
Na (0.5095, 0.9959, 0.4970)
Na (0.0185, 0.7091, 0.5848)
Na (0.5010, 0.9979, 0.0043)
Na (0.1840, 0.3750, 0.2422)
Na (0.3233, 0.0003, 0.2491)
Na (0.0223, 0.3293, 0.0832)
Na (0.6628, 0.0306, 0.4234)
Na (0.3442, 0.3345, 0.8353)
Na (0.8222, 0.9976, 0.2526)
Na (0.1631, 0.0210, 0.4246)
Na (0.9942, 0.6307, 0.2591)
Na (0.8255, 0.6471, 0.7447)
Na (0.3484, 0.3602, 0.3368)
Na (0.9949, 0.9964, 0.5023)
O (0.7602, 0.8183, 0.7506)
O (0.0879, 0.0245, 0.5874)
O (0.9073, 0.5083, 0.7359)
O (0.7490, 0.8544, 0.0744)
O (0.3443, 0.1831, 0.7398)
O (0.0662, 0.4862, 0.5801)
O (0.2803, 0.6993, 0.9700)
O (0.6566, 0.4671, 0.4695)
O (0.7386, 0.3226, 0.7418)
O (0.6832, 0.8578, 0.5775)
O (0.8153, 0.5065, 0.9232)
O (0.6043, 0.0276, 0.3053)
O (0.4433, 0.3691, 0.6383)
O (0.3184, 0.5054, 0.9190)
O (0.8434, 0.1717, 0.7400)
O (0.1759, 0.5008, 0.0862)
O (0.8973, 0.9803, 0.4177)
O (0.4169, 0.0573, 0.8001)
O (0.3955, 0.9778, 0.6836)
O (0.4004, 0.8420, 0.1927)
O (0.9321, 0.5522, 0.0314)
O (0.7661, 0.8434, 0.4709)
O (0.4082, 0.7951, 0.5845)
O (0.7667, 0.6898, 0.9710)
O (0.4174, 0.5248, 0.7440)
O (0.9906, 0.8060, 0.0880)
O (0.5133, 0.8485, 0.4075)
O (0.0895, 0.1604, 0.0870)
O (0.8463, 0.1436, 0.0321)
O (0.0864, 0.4947, 0.2563)
O (0.6807, 0.4766, 0.3613)
O (0.4924, 0.8061, 0.0935)
O (0.4170, 0.7797, 0.3063)
O (0.2468, 0.1325, 0.6393)
O (0.7490, 0.1438, 0.6385)
O (0.7525, 0.6376, 0.5746)
O (0.5793, 0.4672, 0.9742)
O (0.7348, 0.3576, 0.1425)
O (0.3439, 0.5395, 0.5292)
O (0.1183, 0.1925, 0.8027)
O (0.2608, 0.8760, 0.3645)
O (0.0877, 0.9777, 0.9143)
O (0.2474, 0.3537, 0.4190)
O (0.4789, 0.1531, 0.3062)
O (0.5954, 0.0271, 0.5826)
O (0.1630, 0.8486, 0.2585)
O (0.5182, 0.1890, 0.9171)
O (0.4043, 0.9851, 0.4097)
O (0.4451, 0.5193, 0.1386)
O (0.1153, 0.0370, 0.3051)
O (0.9474, 0.5293, 0.1381)
O (0.2562, 0.8410, 0.7526)
O (0.8156, 0.0962, 0.1386)
O (0.8192, 0.5245, 0.6384)
O (0.4057, 0.8154, 0.9110)
O (0.4230, 0.3523, 0.9215)
O (0.4112, 0.0166, 0.0904)
O (0.0940, 0.2065, 0.6968)
O (0.9757, 0.7790, 0.8038)
O (0.9122, 0.3129, 0.2441)
O (0.7512, 0.6917, 0.2636)
O (0.6517, 0.8407, 0.2561)
O (0.4866, 0.7781, 0.8035)
O (0.9199, 0.3461, 0.9209)
O (0.2530, 0.6332, 0.5809)
O (0.5607, 0.4775, 0.8541)
O (0.3410, 0.5165, 0.2426)
O (0.6675, 0.4989, 0.0784)
O (0.9275, 0.3111, 0.5310)
O (0.7306, 0.1477, 0.2456)
O (0.1797, 0.8590, 0.5799)
O (0.9071, 0.0088, 0.0846)
O (0.4320, 0.5603, 0.0324)
O (0.5930, 0.2137, 0.7003)
O (0.2466, 0.3466, 0.1436)
O (0.3250, 0.5159, 0.6375)
O (0.5710, 0.6507, 0.0779)
O (0.2390, 0.1558, 0.2422)
O (0.0648, 0.6390, 0.3581)
O (0.9819, 0.1753, 0.3071)
O (0.6578, 0.8507, 0.9714)
O (0.0144, 0.1768, 0.9139)
O (0.0953, 0.9632, 0.2002)
O (0.6157, 0.1934, 0.8060)
O (0.2375, 0.1672, 0.5207)
O (0.5612, 0.6369, 0.3546)
O (0.5811, 0.7103, 0.4705)
O (0.4846, 0.1820, 0.5851)
O (0.6574, 0.4675, 0.7545)
O (0.7390, 0.1646, 0.5187)
O (0.7650, 0.6484, 0.8635)
O (0.5844, 0.9682, 0.9159)
O (0.2429, 0.1424, 0.9191)
O (0.4209, 0.4911, 0.4266)
O (0.7393, 0.1364, 0.9217)
O (0.0592, 0.4699, 0.8552)
O (0.9108, 0.7977, 0.5853)
O (0.4229, 0.3161, 0.5319)
O (0.0718, 0.6565, 0.0781)
O (0.0739, 0.7029, 0.4767)
O (0.9196, 0.4838, 0.4265)
O (0.2287, 0.3126, 0.0225)
O (0.7606, 0.8760, 0.3633)
O (0.0737, 0.4450, 0.9755)
O (0.5808, 0.1531, 0.0901)
O (0.1599, 0.8609, 0.9699)
O (0.0260, 0.2364, 0.1899)
O (0.3519, 0.1460, 0.0331)
O (0.3205, 0.1323, 0.4201)
O (0.7215, 0.3012, 0.0224)
O (0.0138, 0.8423, 0.4132)
O (0.8307, 0.5057, 0.2474)
O (0.8996, 0.8184, 0.9180)
O (0.1589, 0.4555, 0.4695)
O (0.9099, 0.0512, 0.8047)
O (0.2393, 0.3145, 0.7379)
O (0.0797, 0.6737, 0.7486)
O (0.5685, 0.4944, 0.5743)
O (0.5895, 0.2024, 0.4142)
O (0.5212, 0.2186, 0.1901)
O (0.8853, 0.8249, 0.1939)
O (0.5724, 0.6707, 0.7516)
O (0.4102, 0.3077, 0.2414)
O (0.6806, 0.8915, 0.8634)
O (0.2536, 0.8669, 0.0810)
O (0.2644, 0.6507, 0.8632)
O (0.3228, 0.1188, 0.1405)
O (0.5818, 0.4793, 0.2571)
O (0.2804, 0.8615, 0.4718)
O (0.0920, 0.1996, 0.4131)
O (0.5121, 0.8051, 0.6959)
O (0.1807, 0.8922, 0.8615)
O (0.9037, 0.9672, 0.6897)
O (0.9867, 0.1735, 0.5895)
O (0.1585, 0.4650, 0.7505)
O (0.9142, 0.7710, 0.3054)
O (0.8137, 0.1255, 0.4216)
O (0.5891, 0.9701, 0.1987)
O (0.1819, 0.4782, 0.3613)
O (0.2581, 0.6949, 0.2611)
O (0.9399, 0.3617, 0.6380)
O (0.7448, 0.3566, 0.4214)
O (0.0200, 0.8267, 0.6868)
O (0.8501, 0.5432, 0.5314)
In (0.9907, 0.9941, 0.8476)
In (0.5068, 0.0005, 0.6454)
In (0.6677, 0.6813, 0.8159)
In (0.1637, 0.6684, 0.5171)
In (0.1682, 0.6534, 0.0183)
In (0.8302, 0.3385, 0.1828)
In (0.1628, 0.6688, 0.8135)
In (0.8330, 0.3317, 0.9838)
In (0.9992, 0.0047, 0.1529)
In (0.9890, 0.9846, 0.3518)
In (0.4947, 0.0100, 0.8509)
In (0.3372, 0.3351, 0.9851)
Si (0.5169, 0.6664, 0.4150)
Si (0.9946, 0.6979, 0.7448)
Si (0.3535, 0.0057, 0.7443)
Si (0.8538, 0.0015, 0.7450)
Si (0.0149, 0.3613, 0.9167)
Si (0.6791, 0.3252, 0.0835)
Si (0.8459, 0.7004, 0.2528)
Si (0.0006, 0.3001, 0.2504)
Si (0.6942, 0.0535, 0.5805)
Si (0.1866, 0.0526, 0.5812)
Si (0.5192, 0.3749, 0.9170)
Si (0.0152, 0.6600, 0.4178)
Si (0.1884, 0.3292, 0.0859)
Si (0.3549, 0.7126, 0.2499)
Si (0.4968, 0.2853, 0.2506)

Volume: 13.46 Å³ per atom
Formation energy: -175.2 eV/f.u.